Record 1
This record from the Materials Project describes CaSi2WO6 after structural relaxation. The functional is PBE+U.

Computed properties:
- Energy relative to the lowest polymorph listed for this composition: 52 meV/atom
- SG: C2/c
- Energy of formation from the pure elements: -2.64 eV per atom
- Mass density: 5.256 g/cm³

a b c (Å): 6.9590 6.9590 5.1197
angles (deg): 99.91 99.91 79.53
With the nearest neighbours (Å) after each atom.
Atoms (fractional coordinates):
Ca1 0.2153 0.7847 0.7500  4 O 2.34-2.44
Ca2 0.7847 0.2153 0.2500  4 O 2.34-2.44
Si1 0.1035 0.2942 0.7737  4 O 1.60-1.69
Si2 0.2942 0.1035 0.2737  4 O 1.60-1.69
Si3 0.7058 0.8965 0.7263  4 O 1.60-1.69
Si4 0.8965 0.7058 0.2263  4 O 1.60-1.69
W1 0.4339 0.5661 0.2500  6 O 2.23-2.30
W2 0.5661 0.4339 0.7500  6 O 2.23-2.30
O1 0.1126 0.1678 0.0263  2 Si 1.67-1.69
O2 0.1210 0.6150 0.3238  1 Si 1.60
O3 0.1678 0.1126 0.5263  2 Si 1.67-1.69
O4 0.2626 0.4469 0.8476  1 Si 1.63
O5 0.3850 0.8790 0.1762  1 Si 1.60
O6 0.4469 0.2626 0.3476  1 Si 1.63
O7 0.5531 0.7374 0.6524  1 Si 1.63
O8 0.6150 0.1210 0.8238  1 Si 1.60
O9 0.7374 0.5531 0.1524  1 Si 1.63
O10 0.8322 0.8874 0.4737  2 Si 1.67-1.69
O11 0.8790 0.3850 0.6762  1 Si 1.60
O12 0.8874 0.8322 0.9737  2 Si 1.67-1.69

Record 2
This record from the Materials Project describes MgTl4W2O8 after structural relaxation. The functional is PBE+U.

Computed properties:
- Energy relative to the lowest polymorph listed for this composition: 68 meV/atom
- SG: C2/m
- Energy of formation from the pure elements: -1.51 eV per atom
- Mass density: 6.647 g/cm³

a b c (Å): 6.8981 6.8981 8.3566
angles (deg): 90.86 90.86 57.18
With the nearest neighbours (Å) after each atom.
Atoms (fractional coordinates):
Mg1 0.0000 0.0000 0.0000  4 O 2.73
Tl1 0.2236 0.2236 0.8217  1 O 2.46
Tl2 0.5000 0.5000 0.0000  6 O 2.97-3.17, 2 Mg 3.30
Tl3 0.5000 0.5000 0.5000  6 O 2.88-3.19
Tl4 0.7764 0.7764 0.1783  1 O 2.46
W1 0.1755 0.1755 0.3255  4 O 1.81-1.83
W2 0.8245 0.8245 0.6745  4 O 1.81-1.83
O1 0.1121 0.6757 0.7671  1 W 1.83
O2 0.1602 0.1602 0.5411  1 W 1.81
O3 0.3197 0.3197 0.2700  1 W 1.82
O4 0.3243 0.8879 0.2329  1 W 1.83
O5 0.6757 0.1121 0.7671  1 W 1.83
O6 0.6803 0.6803 0.7300  1 W 1.82
O7 0.8398 0.8398 0.4589  1 W 1.81
O8 0.8879 0.3243 0.2329  1 W 1.83

Record 3
This record from the Materials Project describes Li4Ti4VFe4O18 after structural relaxation. The functional is PBE+U.

Computed properties:
- SG: Pbam
- Energy of formation from the pure elements: -2.54 eV per atom
- Mass density: 3.736 g/cm³

a b c (Å): 9.2397 25.4687 2.9521
angles (deg): 90.00 90.00 90.00
With the nearest neighbours (Å) after each atom.
Atoms (fractional coordinates):
Li1 0.1961 0.1841 0.0000  4 O 2.16-2.25
Li2 0.1977 0.9887 0.0000  4 O 2.09-2.26
Li3 0.3023 0.4887 0.0000  4 O 2.09-2.26
Li4 0.3039 0.6841 0.0000  4 O 2.16-2.25
Li5 0.6961 0.3159 0.0000  4 O 2.16-2.25
Li6 0.6977 0.5113 0.0000  4 O 2.09-2.26
Li7 0.8023 0.0113 0.0000  4 O 2.09-2.26
Li8 0.8039 0.8159 0.0000  4 O 2.16-2.25
Ti1 0.0009 0.9003 0.0000  6 O 1.90-2.10
Ti2 0.1583 0.8098 0.5000  6 O 1.93-2.06
Ti3 0.3417 0.3098 0.5000  6 O 1.93-2.06
Ti4 0.4991 0.4003 0.0000  6 O 1.90-2.10
Ti5 0.5009 0.5997 0.0000  6 O 1.90-2.10
Ti6 0.6583 0.6902 0.5000  6 O 1.93-2.06
Ti7 0.8417 0.1902 0.5000  6 O 1.93-2.06
Ti8 0.9991 0.0997 0.0000  6 O 1.90-2.10
V1 0.0000 0.5000 0.0000  6 O 1.90-2.01
V2 0.5000 0.0000 0.0000  6 O 1.90-2.01
Fe1 0.0008 0.6943 0.0000  5 O 1.95-2.03
Fe2 0.1515 0.5861 0.5000  6 O 2.01-2.11
Fe3 0.3485 0.0861 0.5000  6 O 2.01-2.11
Fe4 0.4992 0.1943 0.0000  5 O 1.95-2.03
Fe5 0.5008 0.8057 0.0000  5 O 1.95-2.03
Fe6 0.6515 0.9139 0.5000  6 O 2.01-2.11
Fe7 0.8485 0.4139 0.5000  6 O 2.01-2.11
Fe8 0.9992 0.3057 0.0000  5 O 1.95-2.03
O1 0.0071 0.5744 0.0000  1 V 1.90, 2 Fe 2.01
O2 0.0433 0.1559 0.5000  3 Ti 2.06-2.10, 2 Li 2.16
O3 0.0616 0.9432 0.5000  2 Ti 1.92
O4 0.1022 0.7614 0.0000  1 Fe 1.95, 2 Ti 1.99
O5 0.1274 0.6649 0.5000  3 Fe 2.02-2.03, 2 Li 2.25
O6 0.1392 0.2915 0.5000  1 Ti 1.93, 2 Fe 2.00
O7 0.1479 0.5033 0.5000  2 V 2.01, 2 Li 2.09, 1 Fe 2.11
O8 0.1870 0.8585 0.0000  3 Ti 1.95-2.02
O9 0.1989 0.0827 0.0000  1 Ti 1.90, 2 Fe 2.02
O10 0.3011 0.5827 0.0000  1 Ti 1.90, 2 Fe 2.02
O11 0.3130 0.3585 0.0000  3 Ti 1.95-2.02
O12 0.3521 0.0033 0.5000  2 V 2.01, 2 Li 2.09, 1 Fe 2.11
O13 0.3608 0.7915 0.5000  1 Ti 1.93, 2 Fe 2.00
O14 0.3726 0.1649 0.5000  3 Fe 2.02-2.03, 2 Li 2.25
O15 0.3978 0.2614 0.0000  1 Fe 1.95, 2 Ti 1.99
O16 0.4384 0.4432 0.5000  2 Ti 1.92
O17 0.4567 0.6559 0.5000  3 Ti 2.06-2.10, 2 Li 2.16
O18 0.4929 0.0744 0.0000  1 V 1.90, 2 Fe 2.01
O19 0.5071 0.9256 0.0000  1 V 1.90, 2 Fe 2.01
O20 0.5433 0.3441 0.5000  3 Ti 2.06-2.10, 2 Li 2.16
O21 0.5616 0.5568 0.5000  2 Ti 1.92
O22 0.6022 0.7386 0.0000  1 Fe 1.95, 2 Ti 1.99
O23 0.6274 0.8351 0.5000  3 Fe 2.02-2.03, 2 Li 2.25
O24 0.6392 0.2085 0.5000  1 Ti 1.93, 2 Fe 2.00
O25 0.6479 0.9967 0.5000  2 V 2.01, 2 Li 2.09, 1 Fe 2.11
O26 0.6870 0.6415 0.0000  3 Ti 1.95-2.02
O27 0.6989 0.4173 0.0000  1 Ti 1.90, 2 Fe 2.02
O28 0.8011 0.9173 0.0000  1 Ti 1.90, 2 Fe 2.02
O29 0.8130 0.1415 0.0000  3 Ti 1.95-2.02
O30 0.8521 0.4967 0.5000  2 V 2.01, 2 Li 2.09, 1 Fe 2.11
O31 0.8608 0.7085 0.5000  1 Ti 1.93, 2 Fe 2.00
O32 0.8726 0.3351 0.5000  3 Fe 2.02-2.03, 2 Li 2.25
O33 0.8978 0.2386 0.0000  1 Fe 1.95, 2 Ti 1.99
O34 0.9384 0.0568 0.5000  2 Ti 1.92
O35 0.9567 0.8441 0.5000  3 Ti 2.06-2.10, 2 Li 2.16
O36 0.9929 0.4256 0.0000  1 V 1.90, 2 Fe 2.01

Record 4
This record from the Materials Project describes Sr3NbCoO7 after structural relaxation. The functional is PBE+U.

Computed properties:
- Energy relative to the lowest polymorph listed for this composition: 0 meV/atom
- SG: Cc
- Energy of formation from the pure elements: -2.84 eV per atom
- Mass density: 5.143 g/cm³

a b c (Å): 21.8455 21.8455 5.6277
angles (deg): 97.40 97.40 14.80
With the nearest neighbours (Å) after each atom.
Atoms (fractional coordinates):
Sr1 0.0001 0.5004 0.7499  9 O 2.61-2.84
Sr2 0.0629 0.5631 0.3125  1 O 2.36
Sr3 0.1681 0.6683 0.4174  8 O 2.59-2.88
Sr4 0.2501 0.7499 0.5000  9 O 2.60-2.84
Sr5 0.3129 0.8121 0.0624  1 O 2.36
Sr6 0.4185 0.9179 0.1680  8 O 2.59-2.88
Sr7 0.5004 0.0001 0.2499  9 O 2.61-2.84
Sr8 0.5631 0.0629 0.8125  1 O 2.36
Sr9 0.6683 0.1681 0.9174  8 O 2.59-2.88
Sr10 0.7499 0.2501 0.0000  9 O 2.60-2.84
Sr11 0.8121 0.3129 0.5624  1 O 2.36
Sr12 0.9179 0.4185 0.6680  8 O 2.59-2.88
Nb1 0.1099 0.6100 0.8593  6 O 1.92-2.10
Nb2 0.3598 0.8594 0.6096  6 O 1.92-2.10
Nb3 0.6100 0.1099 0.3593  6 O 1.92-2.10
Nb4 0.8594 0.3598 0.1096  6 O 1.92-2.10
Co1 0.2116 0.7113 0.9610  5 O 1.89-2.11
Co2 0.4615 0.9620 0.7115  5 O 1.89-2.11
Co3 0.7113 0.2116 0.4610  5 O 1.89-2.11
Co4 0.9620 0.4615 0.2115  5 O 1.89-2.11
O1 0.0081 0.5080 0.2574  1 Co 1.99
O2 0.0607 0.5612 0.8109  1 Nb 2.10
O3 0.1068 0.1070 0.3567  2 Nb 1.99-2.00
O4 0.1070 0.1068 0.8567  2 Nb 1.99-2.00
O5 0.1545 0.6548 0.9040  1 Nb 1.92
O6 0.1934 0.2204 0.4424  2 Co 1.89-2.11
O7 0.2204 0.1934 0.9424  2 Co 1.89-2.11
O8 0.2577 0.7576 0.0071  1 Co 1.99
O9 0.3109 0.8103 0.5604  1 Nb 2.10
O10 0.3572 0.3577 0.1072  2 Nb 1.99
O11 0.3577 0.3572 0.6072  2 Nb 1.99
O12 0.4048 0.9039 0.6544  1 Nb 1.92
O13 0.4430 0.4705 0.7195  2 Co 1.89-2.11
O14 0.4705 0.4430 0.2195  2 Co 1.89-2.11
O15 0.5080 0.0081 0.7574  1 Co 1.99
O16 0.5612 0.0607 0.3109  1 Nb 2.10
O17 0.6065 0.6074 0.8569  2 Nb 1.99
O18 0.6074 0.6065 0.3569  2 Nb 1.99
O19 0.6548 0.1545 0.4040  1 Nb 1.92
O20 0.6938 0.7199 0.4709  2 Co 1.89-2.11
O21 0.7199 0.6938 0.9709  2 Co 1.89-2.11
O22 0.7576 0.2577 0.5071  1 Co 1.99
O23 0.8103 0.3109 0.0604  1 Nb 2.10
O24 0.8570 0.8578 0.6075  2 Nb 1.99
O25 0.8578 0.8570 0.1075  2 Nb 1.99
O26 0.9039 0.4048 0.1544  1 Nb 1.92
O27 0.9430 0.9705 0.6929  2 Co 1.89-2.11
O28 0.9705 0.9430 0.1929  2 Co 1.89-2.11